(1)
RbYN4 | PBE | optimized geometry

- Total magnetic moment: 8.00 μB per formula unit
- Formation energy: 813 kJ/mol of formula units
- Corrected total energy (MP2020 scheme): -32.37 eV/f.u.

abc: 6.433 7.188 7.873
angles: 100.24 104.74 114.38
Element x y z (fractional)
Rb1 0.209 0.140 0.322
Rb2 0.791 0.860 0.678
Y1 0.330 0.629 0.078
Y2 0.670 0.371 0.922
N1 0.011 0.707 0.023
N2 0.248 0.591 0.357
N3 0.328 0.049 0.691
N4 0.485 0.580 0.851
N5 0.515 0.420 0.149
N6 0.672 0.951 0.309
N7 0.752 0.409 0.643
N8 0.989 0.293 0.977



(2)
RbZnN | PBE | optimized geometry

- Total magnetic moment: 0.00 μB per formula unit
- Formation energy: 5 kJ/mol of formula units
- Corrected total energy (MP2020 scheme): -10.52 eV/f.u.

abc: 11.250 3.571 6.709
angles: 90.00 90.00 90.00
Element x y z (fractional)
Rb1 0.157 0.250 0.055
Rb2 0.343 0.750 0.555
Rb3 0.657 0.250 0.445
Rb4 0.843 0.750 0.945
Zn1 0.055 0.250 0.607
Zn2 0.445 0.750 0.107
Zn3 0.555 0.250 0.893
Zn4 0.945 0.750 0.393
N1 0.080 0.750 0.696
N2 0.420 0.250 0.196
N3 0.580 0.750 0.804
N4 0.920 0.250 0.304



(3)
RbZnN | PBE | optimized geometry

- Total magnetic moment: 0.00 μB per formula unit
- Formation energy: 26 kJ/mol of formula units
- Corrected total energy (MP2020 scheme): -10.31 eV/f.u.

abc: 5.371 5.371 3.588
angles: 90.00 90.00 120.00
Element x y z (fractional)
Rb1 0.000 0.000 0.000
Zn1 0.667 0.333 0.500
N1 0.667 0.333 0.000



(4)
ReN | PBE | optimized geometry

- Total magnetic moment: 0.00 μB per formula unit
- Formation energy: 61 kJ/mol of formula units
- Corrected total energy (MP2020 scheme): -20.15 eV/f.u.
- Energy above the lowest structure with this stoichiometry: 0.900 eV/f.u.

abc: 3.268 3.268 3.268
angles: 60.00 60.00 60.00
Element x y z (fractional)
Re1 0.000 0.000 0.000
N1 0.750 0.750 0.750